Computed, not measured: an optimized crystal structure of Na7MgIn3P6O24 at the PBE-GGA level of DFT.

Unit cell a=9.115 b=9.120 c=22.425 alpha=90.06 beta=90.02 gamma=119.96
Positions (direct):
Na: 0.000 0.000 0.000
Na: 0.000 0.357 0.497
Na: 0.266 0.002 0.498
Na: 0.268 0.626 0.001
Na: 0.297 0.328 0.917
Na: 0.297 0.966 0.159
Na: 0.298 0.342 0.410
Na: 0.300 0.692 0.659
Na: 0.334 0.026 0.831
Na: 0.599 0.669 0.832
Na: 0.600 0.297 0.324
Na: 0.624 0.625 0.499
Na: 0.625 0.358 0.999
Na: 0.630 0.995 0.242
Na: 0.631 0.009 0.745
Na: 0.658 0.691 0.159
Na: 0.935 0.965 0.660
Na: 0.951 0.647 0.580
Na: 0.958 0.291 0.832
Na: 0.963 0.647 0.080
Na: 0.965 0.026 0.324
Mg: 0.294 0.329 0.062
Mg: 0.300 0.328 0.563
Mg: 0.631 0.995 0.896
In: 0.294 0.335 0.258
In: 0.301 0.329 0.757
In: 0.624 0.989 0.395
In: 0.631 0.001 0.595
In: 0.638 0.002 0.093
In: 0.958 0.655 0.727
In: 0.964 0.662 0.927
In: 0.967 0.655 0.227
In: 0.968 0.661 0.425
P: 0.001 0.328 0.660
P: 0.265 0.965 0.327
P: 0.266 0.663 0.827
P: 0.297 0.028 0.661
P: 0.300 0.629 0.157
P: 0.330 0.693 0.497
P: 0.333 0.996 0.993
P: 0.592 0.328 0.160
P: 0.597 0.629 0.659
P: 0.630 0.296 0.493
P: 0.630 0.696 0.993
P: 0.664 0.359 0.829
P: 0.665 0.661 0.328
P: 0.930 0.293 0.991
P: 0.932 0.996 0.495
P: 0.963 0.359 0.331
P: 0.963 0.963 0.827
P: 0.999 0.029 0.161
O: 0.076 0.124 0.220
O: 0.078 0.303 0.719
O: 0.106 0.309 0.999
O: 0.109 0.121 0.106
O: 0.109 0.154 0.501
O: 0.112 0.347 0.606
O: 0.118 0.333 0.325
O: 0.125 0.142 0.823
O: 0.131 0.850 0.663
O: 0.143 0.654 0.162
O: 0.151 0.629 0.883
O: 0.152 0.835 0.990
O: 0.153 0.679 0.491
O: 0.160 0.884 0.385
O: 0.179 0.859 0.271
O: 0.184 0.691 0.771
O: 0.278 0.120 0.606
O: 0.280 0.143 0.324
O: 0.283 0.528 0.101
O: 0.284 0.502 0.823
O: 0.309 0.515 0.502
O: 0.314 0.155 0.999
O: 0.315 0.123 0.720
O: 0.329 0.549 0.214
O: 0.406 0.803 0.554
O: 0.411 0.965 0.051
O: 0.442 0.017 0.938
O: 0.442 0.822 0.833
O: 0.447 0.991 0.330
O: 0.448 0.778 0.443
O: 0.450 0.998 0.658
O: 0.461 0.810 0.156
O: 0.471 0.313 0.501
O: 0.471 0.518 0.998
O: 0.486 0.344 0.823
O: 0.490 0.303 0.219
O: 0.490 0.499 0.323
O: 0.496 0.552 0.718
O: 0.502 0.348 0.106
O: 0.506 0.524 0.604
O: 0.600 0.191 0.435
O: 0.607 0.166 0.157
O: 0.610 0.785 0.938
O: 0.615 0.809 0.658
O: 0.643 0.181 0.835
O: 0.656 0.826 0.331
O: 0.661 0.805 0.050
O: 0.669 0.212 0.546
O: 0.738 0.470 0.886
O: 0.745 0.634 0.385
O: 0.768 0.493 0.164
O: 0.778 0.688 0.272
O: 0.779 0.655 0.662
O: 0.782 0.445 0.776
O: 0.790 0.477 0.490
O: 0.792 0.677 0.991
O: 0.801 0.180 0.332
O: 0.804 0.980 0.833
O: 0.813 0.214 0.046
O: 0.814 0.998 0.158
O: 0.817 0.962 0.550
O: 0.824 0.166 0.657
O: 0.847 0.189 0.935
O: 0.850 0.025 0.438
O: 0.933 0.449 0.278
O: 0.936 0.853 0.771
O: 0.949 0.834 0.490
O: 0.953 0.476 0.989
O: 0.985 0.850 0.163
O: 0.986 0.455 0.390
O: 0.991 0.493 0.663
O: 0.997 0.882 0.883

Values from the calculation:
Uncorrected energy   -780.1 eV for the cell shown
Total magnetic moment   0.0 μB per formula unit
Calculated formation energy   -2590.0 meV/atom
Crystal system   triclinic